1.
This record from the Materials Project describes an optimized crystal structure of Na3FeO4. The functional is GGA+U.

Cell: 5.319 10.910 6.494 Å, 90.00 90.00 82.78°
Fractional positions:
O 0.084 0.907 0.903
O 0.839 0.109 0.677
O 0.583 0.907 0.097
O 0.084 0.407 0.097
O 0.839 0.609 0.323
O 0.161 0.891 0.323
O 0.661 0.891 0.677
O 0.661 0.391 0.323
O 0.917 0.093 0.097
O 0.416 0.593 0.097
O 0.416 0.093 0.903
O 0.583 0.407 0.903
O 0.339 0.610 0.677
O 0.339 0.109 0.323
O 0.917 0.593 0.903
O 0.161 0.391 0.677
Na 0.750 0.000 0.382
Na 0.250 0.000 0.618
Na 0.500 0.750 0.378
Na 0.750 0.500 0.618
Na 0.500 0.250 0.118
Na 0.000 0.750 0.622
Na 0.500 0.750 0.882
Na 0.250 0.500 0.382
Na 0.000 0.250 0.378
Na 0.500 0.250 0.622
Na 0.000 0.250 0.882
Na 0.000 0.750 0.118
Fe 0.250 0.000 0.126
Fe 0.750 0.500 0.126
Fe 0.250 0.500 0.874
Fe 0.750 0.000 0.874

Properties
Electronic total energy   -158.35 eV for the cell shown
Energy relative to the elements   -1.545 eV per atom
MP2020-corrected energy   -178.36 eV per cell

2.
This record from the Materials Project describes an optimized crystal structure of Na4FeO3. The functional is GGA+U.

Cell: 6.231 6.231 8.353 Å, 111.22 111.22 55.86°
Fractional positions:
Na 0.022 0.340 0.404
Na 0.159 0.841 0.500
Na 0.340 0.022 0.904
Na 0.375 0.786 0.184
Na 0.612 0.943 0.586
Na 0.786 0.375 0.684
Na 0.841 0.159 0.000
Na 0.943 0.612 0.086
Fe 0.260 0.556 0.789
Fe 0.556 0.260 0.289
O 0.008 0.895 0.741
O 0.229 0.251 0.693
O 0.251 0.229 0.193
O 0.570 0.572 0.423
O 0.572 0.570 0.923
O 0.895 0.008 0.241

Properties
Energy above the most stable polymorph in this dataset   0.0041 eV per atom
Electronic total energy   -73.07 eV for the cell shown
Energy relative to the elements   -1.531 eV per atom
MP2020-corrected energy   -81.71 eV per cell